# 1
Density functional theory data (PBE) for an optimized crystal structure of EuZnGe.

a = 6.149 Å, b = 6.149 Å, c = 6.149 Å
α = 138.48°, β = 104.12°, γ = 90.42°
Fractional positions:
Eu (0.250, 0.250, 0.000)
Eu (0.750, 0.750, 0.000)
Zn (0.333, 0.000, 0.333)
Zn (0.667, 0.000, 0.667)
Ge (0.168, 0.500, 0.668)
Ge (0.832, 0.500, 0.332)

Results
ΔH_f (0 K) = -12.197 kcal/mol of atoms
crystal system = orthorhombic
total DFT energy (no corrections) = -5.9089 eV per atom
total moment = 7.0 μB per formula unit


# 2
Density functional theory data (PBE) for an optimized crystal structure of EuZnGe.

a = 6.153 Å, b = 6.153 Å, c = 6.153 Å
α = 138.31°, β = 89.99°, γ = 104.68°
Fractional positions:
Eu (0.000, 0.000, 0.000)
Eu (0.500, 0.000, 0.500)
Zn (0.417, 0.667, 0.750)
Zn (0.583, 0.333, 0.250)
Ge (0.083, 0.333, 0.750)
Ge (0.917, 0.667, 0.250)

Results
ΔH_f (0 K) = -10.872 kcal/mol of atoms
crystal system = orthorhombic
total DFT energy (no corrections) = -5.8514 eV per atom
total moment = 7.1 μB per formula unit


# 3
Density functional theory data (PBE) for an optimized crystal structure of EuZnGe.

a = 4.312 Å, b = 4.344 Å, c = 7.506 Å
α = 90.00°, β = 90.00°, γ = 90.00°
Fractional positions:
Eu (0.000, 0.000, 0.000)
Eu (0.500, 0.000, 0.500)
Zn (0.000, 0.500, 0.334)
Zn (0.000, 0.500, 0.666)
Ge (0.500, 0.500, 0.168)
Ge (0.500, 0.500, 0.832)

Results
ΔH_f (0 K) = -11.976 kcal/mol of atoms
crystal system = orthorhombic
total DFT energy (no corrections) = -5.8992 eV per atom
total moment = 7.1 μB per formula unit


# 4
Density functional theory data (PBE) for an optimized crystal structure of EuZnGe.

a = 4.353 Å, b = 4.353 Å, c = 8.505 Å
α = 90.00°, β = 90.00°, γ = 120.00°
Fractional positions:
Eu (0.000, 0.000, 0.000)
Eu (0.000, 0.000, 0.500)
Zn (0.333, 0.667, 0.250)
Zn (0.667, 0.333, 0.750)
Ge (0.333, 0.667, 0.750)
Ge (0.667, 0.333, 0.250)

Results
ΔH_f (0 K) = -13.322 kcal/mol of atoms
crystal system = hexagonal
total DFT energy (no corrections) = -5.9576 eV per atom


Repeat the third record exactly.
Density functional theory data (PBE) for an optimized crystal structure of EuZnGe.

a = 4.312 Å, b = 4.344 Å, c = 7.506 Å
α = 90.00°, β = 90.00°, γ = 90.00°
Fractional positions:
Eu (0.000, 0.000, 0.000)
Eu (0.500, 0.000, 0.500)
Zn (0.000, 0.500, 0.334)
Zn (0.000, 0.500, 0.666)
Ge (0.500, 0.500, 0.168)
Ge (0.500, 0.500, 0.832)

Results
ΔH_f (0 K) = -11.976 kcal/mol of atoms
crystal system = orthorhombic
total DFT energy (no corrections) = -5.8992 eV per atom
total moment = 7.1 μB per formula unit


What did the second record say?
Density functional theory data (PBE) for an optimized crystal structure of EuZnGe.

a = 6.153 Å, b = 6.153 Å, c = 6.153 Å
α = 138.31°, β = 89.99°, γ = 104.68°
Fractional positions:
Eu (0.000, 0.000, 0.000)
Eu (0.500, 0.000, 0.500)
Zn (0.417, 0.667, 0.750)
Zn (0.583, 0.333, 0.250)
Ge (0.083, 0.333, 0.750)
Ge (0.917, 0.667, 0.250)

Results
ΔH_f (0 K) = -10.872 kcal/mol of atoms
crystal system = orthorhombic
total DFT energy (no corrections) = -5.8514 eV per atom
total moment = 7.1 μB per formula unit